1.
# Co3P4PbO14, optimized geometry, DFT PBE+U
# E_form in eV per atom: -2.31
data_Co3P4PbO14
_cell_length_a 7.5867
_cell_length_b 7.8642
_cell_length_c 9.6066
_cell_angle_alpha 90.00
_cell_angle_beta 111.94
_cell_angle_gamma 90.00
_space_group_name_H-M_alt 'P 1'
_space_group_IT_number 1
_space_group_name_Hall 'P 1'
loop_
_atom_site_label
_atom_site_type_symbol
_atom_site_fract_x
_atom_site_fract_y
_atom_site_fract_z
Co1 Co 0.0000 0.0000 0.0000
Co2 Co 0.0000 0.5000 0.5000
Co3 Co 0.1860 0.1252 0.5274
Co4 Co 0.1860 0.3748 0.0274
Co5 Co 0.8140 0.6252 0.9726
Co6 Co 0.8140 0.8748 0.4726
P1 P 0.1098 0.7031 0.8062
P2 P 0.1098 0.7969 0.3062
P3 P 0.3946 0.0554 0.2990
P4 P 0.3946 0.4446 0.7990
P5 P 0.6054 0.5554 0.2010
P6 P 0.6054 0.9446 0.7010
P7 P 0.8902 0.2031 0.6938
P8 P 0.8902 0.2969 0.1938
Pb1 Pb 0.5000 0.0000 0.0000
Pb2 Pb 0.5000 0.5000 0.5000
O1 O 0.9999 0.2101 0.8643
O2 O 0.9999 0.2899 0.3643
O3 O 0.0001 0.7101 0.6357
O4 O 0.0001 0.7899 0.1357
O5 O 0.0253 0.5777 0.8874
O6 O 0.0253 0.9223 0.3874
O7 O 0.1528 0.6254 0.3869
O8 O 0.1528 0.8746 0.8869
O9 O 0.2705 0.1144 0.1365
O10 O 0.2705 0.3856 0.6365
O11 O 0.3150 0.6291 0.8221
O12 O 0.3150 0.8709 0.3221
O13 O 0.3738 0.1757 0.4166
O14 O 0.3738 0.3243 0.9166
O15 O 0.4030 0.5180 0.1906
O16 O 0.4030 0.9820 0.6906
O17 O 0.5970 0.0180 0.3094
O18 O 0.5970 0.4820 0.8094
O19 O 0.6262 0.6757 0.0834
O20 O 0.6262 0.8243 0.5834
O21 O 0.6850 0.1291 0.6779
O22 O 0.6850 0.3709 0.1779
O23 O 0.7295 0.6144 0.3635
O24 O 0.7295 0.8856 0.8635
O25 O 0.8472 0.1254 0.1131
O26 O 0.8472 0.3746 0.6131
O27 O 0.9747 0.0777 0.6126
O28 O 0.9747 0.4223 0.1126

---

2.
# Rb4CoP6O24, optimized geometry, DFT PBE+U
# Size of the total moment in μB per atom: 0.083
# E_form in eV per atom: -1.66
data_Rb4CoP6O24
_cell_length_a 8.8199
_cell_length_b 8.8199
_cell_length_c 9.9240
_cell_angle_alpha 117.66
_cell_angle_beta 117.66
_cell_angle_gamma 80.45
_space_group_name_H-M_alt 'P 1'
_space_group_IT_number 1
_space_group_name_Hall 'P 1'
loop_
_atom_site_label
_atom_site_type_symbol
_atom_site_fract_x
_atom_site_fract_y
_atom_site_fract_z
Rb1 Rb 0.1750 0.1750 0.4532
Rb2 Rb 0.2253 0.7747 0.0000
Rb3 Rb 0.7747 0.2253 0.0000
Rb4 Rb 0.8250 0.8250 0.5468
Co1 Co 0.5000 0.5000 0.5000
P1 P 0.0172 0.2847 0.7854
P2 P 0.2626 0.2626 0.1051
P3 P 0.2847 0.0172 0.7854
P4 P 0.7153 0.9828 0.2146
P5 P 0.7374 0.7374 0.8949
P6 P 0.9828 0.7153 0.2146
O1 O 0.0251 0.4184 0.7360
O2 O 0.1262 0.1262 0.7098
O3 O 0.1377 0.3572 0.9898
O4 O 0.1491 0.7931 0.2617
O5 O 0.1652 0.1652 0.1318
O6 O 0.2069 0.8509 0.7383
O7 O 0.2998 0.4890 0.4940
O8 O 0.3572 0.1377 0.9898
O9 O 0.4027 0.4027 0.2525
O10 O 0.4184 0.0251 0.7360
O11 O 0.4671 0.4671 0.9216
O12 O 0.4890 0.2998 0.4940
O13 O 0.5110 0.7002 0.5060
O14 O 0.5329 0.5329 0.0784
O15 O 0.5816 0.9749 0.2640
O16 O 0.5973 0.5973 0.7475
O17 O 0.6428 0.8623 0.0102
O18 O 0.7002 0.5110 0.5060
O19 O 0.7931 0.1491 0.2617
O20 O 0.8348 0.8348 0.8682
O21 O 0.8509 0.2069 0.7383
O22 O 0.8623 0.6428 0.0102
O23 O 0.8738 0.8738 0.2902
O24 O 0.9749 0.5816 0.2640

---

3.
# CoSb3P6O24, optimized geometry, DFT PBE+U
# Size of the total moment in μB per atom: 0.000
# E_form in eV per atom: -2.28
data_CoSb3P6O24
_cell_length_a 8.8281
_cell_length_b 8.8281
_cell_length_c 8.8281
_cell_angle_alpha 58.01
_cell_angle_beta 58.01
_cell_angle_gamma 58.01
_space_group_name_H-M_alt 'P 1'
_space_group_IT_number 1
_space_group_name_Hall 'P 1'
loop_
_atom_site_label
_atom_site_type_symbol
_atom_site_fract_x
_atom_site_fract_y
_atom_site_fract_z
Co1 Co 0.0000 0.0000 0.0000
Sb1 Sb 0.2872 0.2872 0.2872
Sb2 Sb 0.5006 0.5006 0.5006
Sb3 Sb 0.7874 0.7874 0.7874
P1 P 0.1038 0.6897 0.3858
P2 P 0.1792 0.6144 0.8962
P3 P 0.3858 0.1038 0.6897
P4 P 0.6144 0.8962 0.1792
P5 P 0.6897 0.3858 0.1038
P6 P 0.8962 0.1792 0.6144
O1 O 0.0113 0.6276 0.8691
O2 O 0.0674 0.2038 0.4246
O3 O 0.0834 0.8659 0.2142
O4 O 0.1292 0.5076 0.3733
O5 O 0.1541 0.7827 0.9210
O6 O 0.2038 0.4246 0.0674
O7 O 0.2142 0.0834 0.8659
O8 O 0.2762 0.6588 0.4196
O9 O 0.3627 0.5848 0.7206
O10 O 0.3733 0.1292 0.5076
O11 O 0.4196 0.2762 0.6588
O12 O 0.4246 0.0674 0.2038
O13 O 0.5076 0.3733 0.1292
O14 O 0.5698 0.9262 0.7010
O15 O 0.5848 0.7206 0.3627
O16 O 0.6276 0.8691 0.0113
O17 O 0.6588 0.4196 0.2762
O18 O 0.7010 0.5698 0.9262
O19 O 0.7206 0.3627 0.5848
O20 O 0.7827 0.9210 0.1541
O21 O 0.8659 0.2142 0.0834
O22 O 0.8691 0.0113 0.6276
O23 O 0.9210 0.1541 0.7827
O24 O 0.9262 0.7010 0.5698

---

4.
# Co3SbP4O16, optimized geometry, DFT PBE+U
# Size of the total moment in μB per atom: 0.250
# E_form in eV per atom: -2.12
data_Co3SbP4O16
_cell_length_a 4.9042
_cell_length_b 5.9840
_cell_length_c 9.9694
_cell_angle_alpha 90.00
_cell_angle_beta 90.16
_cell_angle_gamma 90.00
_space_group_name_H-M_alt 'P 1'
_space_group_IT_number 1
_space_group_name_Hall 'P 1'
loop_
_atom_site_label
_atom_site_type_symbol
_atom_site_fract_x
_atom_site_fract_y
_atom_site_fract_z
Co1 Co 0.0000 0.0000 0.0000
Co2 Co 0.0949 0.5000 0.5440
Co3 Co 0.5182 0.5000 0.0325
Sb1 Sb 0.5892 0.0000 0.4810
P1 P 0.1611 0.0000 0.6700
P2 P 0.4532 0.0000 0.1625
P3 P 0.6218 0.5000 0.3528
P4 P 0.9513 0.5000 0.8676
O1 O 0.2018 0.0000 0.8178
O2 O 0.2615 0.5000 0.8938
O3 O 0.3114 0.2054 0.0996
O4 O 0.3114 0.7946 0.0996
O5 O 0.3158 0.1969 0.5918
O6 O 0.3158 0.8031 0.5918
O7 O 0.3200 0.5000 0.3807
O8 O 0.3599 0.0000 0.3217
O9 O 0.7044 0.5000 0.2070
O10 O 0.7612 0.0000 0.1639
O11 O 0.7752 0.2970 0.4321
O12 O 0.7752 0.7030 0.4321
O13 O 0.8027 0.2984 0.9364
O14 O 0.8027 0.7016 0.9364
O15 O 0.8485 0.0000 0.6348
O16 O 0.9062 0.5000 0.7154

---

no.,VASP energy (Ha/atom)
1,-0.25427
2,-0.22574
3,-0.24860
4,-0.24695